(1)
The following is a DFT calculation (meta-GGA r2SCAN) of crystalline Li4HN at its relaxed geometry.

Output
E_form (eV/atom): -0.489
SG: I4_1/a

Unit cell a=4.8122 b=4.8122 c=5.9820 alpha=113.72 beta=113.72 gamma=90.00
Atoms (fractional coordinates):
Li (0.3249, 0.0934, 0.0658)
Li (0.7409, 0.4724, 0.0658)
Li (0.5934, 0.2409, 0.5658)
Li (0.9724, 0.8249, 0.5658)
Li (0.0276, 0.1751, 0.4342)
Li (0.2591, 0.5276, 0.9342)
Li (0.6751, 0.9066, 0.9342)
Li (0.4066, 0.7591, 0.4342)
N (0.3750, 0.1250, 0.7500)
N (0.6250, 0.8750, 0.2500)
H (0.8750, 0.6250, 0.7500)
H (0.1250, 0.3750, 0.2500)

(2)
The following is a DFT calculation (meta-GGA r2SCAN) of crystalline Tb3Sc at its relaxed geometry.

Output
E_form (eV/atom): 0.061
Relative energy among the computed polymorphs (meV per atom): 0
SG: Pm-3m

Unit cell a=4.9402 b=4.9402 c=4.9402 alpha=90.00 beta=90.00 gamma=90.00
Atoms (fractional coordinates):
Tb (0.5000, 0.0000, 0.5000)
Tb (0.5000, 0.5000, 0.0000)
Tb (0.0000, 0.5000, 0.5000)
Sc (0.0000, 0.0000, 0.0000)

(3)
The following is a DFT calculation (meta-GGA r2SCAN) of crystalline HoB3Mo at its relaxed geometry.

Output
E_form (eV/atom): -0.677
SG: P2_1/m

Unit cell a=3.1543 b=5.4147 c=6.8169 alpha=78.03 beta=90.00 gamma=90.00
Atoms (fractional coordinates):
B (0.7500, 0.0820, 0.4754)
B (0.2500, 0.5835, 0.0070)
B (0.2500, 0.9180, 0.5246)
B (0.2500, 0.9124, 0.0044)
B (0.7500, 0.4165, 0.9930)
B (0.7500, 0.0876, 0.9956)
Mo (0.2500, 0.1885, 0.2200)
Mo (0.7500, 0.8115, 0.7800)
Ho (0.2500, 0.3239, 0.7100)
Ho (0.7500, 0.6761, 0.2900)

(4)
The following is a DFT calculation (meta-GGA r2SCAN) of crystalline MoS2 at its relaxed geometry.

Output
E_form (eV/atom): -0.952
SG: P-6m2

Unit cell a=3.1841 b=3.1841 c=17.3346 alpha=90.00 beta=90.00 gamma=120.00
Atoms (fractional coordinates):
S (0.6667, 0.3333, 0.3028)
S (0.6667, 0.3333, 0.1238)
Mo (0.3333, 0.6667, 0.2133)